[1]
K3CrH6O6, optimized geometry, DFT GGA+U; formation energy from the elements = -1.63 eV/atom; symmetry = No. 167; total energy = -5.18 eV per atom
1.0
5.450 3.147 3.767
-5.450 3.147 3.767
0.000 -6.293 3.767
K Cr H O
6 2 12 12
Direct
0.131 0.750 0.369
0.250 0.631 0.869
0.369 0.131 0.750
0.631 0.869 0.250
0.750 0.369 0.131
0.869 0.250 0.631
0.000 0.000 0.000
0.500 0.500 0.500
0.082 0.120 0.330
0.120 0.330 0.082
0.170 0.380 0.418
0.330 0.082 0.120
0.380 0.418 0.170
0.418 0.170 0.380
0.582 0.830 0.620
0.620 0.582 0.830
0.670 0.918 0.880
0.830 0.620 0.582
0.880 0.670 0.918
0.918 0.880 0.670
0.042 0.903 0.737
0.097 0.263 0.958
0.237 0.403 0.542
0.263 0.958 0.097
0.403 0.542 0.237
0.458 0.763 0.597
0.542 0.237 0.403
0.597 0.458 0.763
0.737 0.042 0.903
0.763 0.597 0.458
0.903 0.737 0.042
0.958 0.097 0.263

---

[2]
KCr3H6S2O14, optimized geometry, DFT GGA+U; formation energy from the elements = -1.90 eV/atom; total energy = -6.22 eV per atom
1.0
-1.254 4.782 5.283
-7.782 -5.967 3.211
4.622 -3.656 4.408
H O S Cr K
12 28 4 6 2
Direct
0.319 0.012 0.704
0.819 0.512 0.796
0.181 0.488 0.796
0.023 0.308 0.000
0.681 0.988 0.704
0.819 0.512 0.204
0.181 0.488 0.204
0.319 0.012 0.296
0.477 0.192 0.500
0.977 0.693 0.000
0.523 0.807 0.500
0.681 0.988 0.296
0.359 0.237 0.500
0.667 0.929 0.192
0.663 0.165 0.000
0.003 0.168 0.666
0.776 0.388 0.000
0.666 0.929 0.808
0.724 0.112 0.500
0.834 0.571 0.692
0.858 0.737 0.000
0.833 0.571 0.308
0.166 0.429 0.692
0.337 0.835 0.000
0.503 0.668 0.166
0.497 0.332 0.166
0.997 0.832 0.334
0.503 0.668 0.833
0.003 0.168 0.334
0.163 0.665 0.500
0.141 0.263 0.000
0.334 0.071 0.192
0.497 0.332 0.834
0.997 0.832 0.667
0.276 0.888 0.500
0.224 0.612 0.000
0.166 0.429 0.308
0.642 0.763 0.500
0.334 0.071 0.808
0.837 0.335 0.500
0.891 0.196 0.500
0.609 0.304 0.000
0.391 0.696 0.000
0.109 0.804 0.500
0.250 0.250 0.250
0.500 0.000 0.000
0.750 0.750 0.750
0.000 0.500 0.500
0.250 0.250 0.750
0.750 0.750 0.250
0.500 0.500 0.500
0.000 0.000 0.000

---

[3]
K2ZnCr2H4O10, optimized geometry, DFT GGA+U; formation energy from the elements = -1.71 eV/atom; symmetry = No. 15; total energy = -5.66 eV per atom
1.0
7.555 -2.874 0.000
7.555 2.874 0.000
-5.301 0.000 11.356
K Zn Cr H O
4 2 4 8 20
Direct
0.050 0.688 0.956
0.312 0.950 0.544
0.688 0.050 0.456
0.950 0.312 0.044
0.155 0.845 0.750
0.845 0.155 0.250
0.229 0.544 0.290
0.456 0.771 0.210
0.544 0.229 0.790
0.771 0.456 0.710
0.057 0.333 0.366
0.188 0.512 0.590
0.333 0.057 0.866
0.488 0.812 0.910
0.512 0.188 0.090
0.667 0.943 0.134
0.812 0.488 0.410
0.943 0.667 0.634
0.028 0.687 0.607
0.043 0.859 0.336
0.141 0.957 0.164
0.162 0.446 0.344
0.186 0.480 0.145
0.313 0.972 0.893
0.389 0.534 0.840
0.446 0.162 0.844
0.466 0.611 0.660
0.480 0.186 0.645
0.520 0.814 0.355
0.534 0.389 0.340
0.554 0.838 0.156
0.611 0.466 0.160
0.687 0.028 0.107
0.814 0.520 0.855
0.838 0.554 0.656
0.859 0.043 0.836
0.957 0.141 0.664
0.972 0.313 0.393

---

[4]
K2ZnCr4H4O16, optimized geometry, DFT GGA+U; formation energy from the elements = -1.68 eV/atom; symmetry = No. 2; total energy = -5.97 eV per atom
1.0
6.897 0.000 0.000
3.424 7.056 0.000
1.158 -0.457 7.907
K Zn Cr H O
2 1 4 4 16
Direct
0.208 0.235 0.174
0.792 0.765 0.826
0.500 0.500 0.500
0.224 0.006 0.667
0.240 0.705 0.157
0.760 0.295 0.843
0.776 0.994 0.333
0.237 0.356 0.611
0.327 0.408 0.764
0.673 0.592 0.236
0.763 0.644 0.389
0.050 0.942 0.238
0.129 0.635 0.024
0.213 0.158 0.522
0.259 0.459 0.663
0.293 0.560 0.314
0.345 0.786 0.587
0.348 0.037 0.813
0.462 0.715 0.066
0.538 0.285 0.934
0.652 0.963 0.187
0.655 0.214 0.413
0.707 0.440 0.686
0.741 0.541 0.337
0.787 0.842 0.478
0.871 0.365 0.976
0.950 0.058 0.762

---

[5]
Li9Cr2H27O21, optimized geometry, DFT GGA+U; formation energy from the elements = -1.57 eV/atom; symmetry = No. 2; total energy = -5.19 eV per atom
1.0
8.399 0.000 0.000
3.941 10.083 0.000
0.419 3.124 10.483
Li Cr H O
18 4 54 42
Direct
0.017 0.410 0.127
0.199 0.321 0.359
0.202 0.332 0.864
0.413 0.032 0.364
0.416 0.776 0.117
0.420 0.514 0.380
0.427 0.026 0.863
0.435 0.510 0.867
0.436 0.777 0.617
0.564 0.223 0.383
0.565 0.490 0.133
0.573 0.974 0.137
0.580 0.486 0.620
0.584 0.224 0.883
0.587 0.968 0.636
0.798 0.668 0.136
0.801 0.679 0.641
0.983 0.590 0.873
0.401 0.278 0.122
0.411 0.273 0.627
0.589 0.727 0.373
0.599 0.722 0.878
0.020 0.077 0.699
0.022 0.049 0.208
0.034 0.752 0.469
0.039 0.473 0.685
0.039 0.798 0.939
0.068 0.726 0.090
0.112 0.583 0.529
0.120 0.609 0.247
0.121 0.028 0.539
0.127 0.678 0.675
0.131 0.405 0.510
0.138 0.058 0.994
0.151 0.738 0.283
0.151 0.761 0.769
0.154 0.938 0.442
0.155 0.208 0.698
0.163 0.943 0.927
0.188 0.157 0.207
0.203 0.526 0.023
0.290 0.886 0.282
0.294 0.143 0.018
0.306 0.469 0.224
0.307 0.713 0.460
0.308 0.901 0.768
0.312 0.712 0.949
0.321 0.478 0.705
0.325 0.110 0.543
0.675 0.890 0.457
0.679 0.522 0.295
0.688 0.288 0.051
0.692 0.099 0.232
0.693 0.287 0.540
0.694 0.531 0.776
0.706 0.857 0.982
0.710 0.114 0.718
0.797 0.474 0.977
0.812 0.843 0.793
0.837 0.057 0.073
0.845 0.792 0.302
0.846 0.062 0.558
0.849 0.239 0.231
0.849 0.262 0.717
0.862 0.942 0.006
0.869 0.595 0.490
0.873 0.322 0.325
0.879 0.972 0.461
0.880 0.391 0.753
0.888 0.417 0.471
0.932 0.274 0.910
0.961 0.202 0.061
0.961 0.527 0.315
0.966 0.248 0.531
0.978 0.951 0.792
0.980 0.923 0.301
0.009 0.255 0.985
0.021 0.673 0.541
0.026 0.521 0.240
0.075 0.862 0.365
0.095 0.889 0.825
0.193 0.666 0.754
0.201 0.667 0.236
0.208 0.441 0.004
0.214 0.972 0.497
0.220 0.967 0.993
0.222 0.225 0.231
0.223 0.439 0.514
0.253 0.206 0.745
0.398 0.161 0.505
0.400 0.162 0.005
0.402 0.891 0.258
0.413 0.389 0.241
0.417 0.392 0.741
0.426 0.659 0.491
0.428 0.660 0.988
0.428 0.887 0.752
0.572 0.113 0.248
0.572 0.340 0.012
0.574 0.341 0.509
0.583 0.608 0.259
0.587 0.611 0.759
0.598 0.109 0.742
0.600 0.838 0.995
0.602 0.839 0.495
0.747 0.794 0.255
0.777 0.561 0.486
0.778 0.775 0.769
0.780 0.033 0.007
0.786 0.028 0.503
0.792 0.559 0.996
0.799 0.333 0.764
0.807 0.334 0.246
0.905 0.111 0.175
0.925 0.138 0.635
0.974 0.479 0.760
0.979 0.327 0.459
0.991 0.745 0.015

---

[6]
Li2Cr2H4O9, optimized geometry, DFT GGA+U; formation energy from the elements = -1.61 eV/atom; symmetry = No. 9; energy above the most stable polymorph in this dataset = 0.061 eV per atom; total energy = -5.79 eV per atom
1.0
6.817 -3.882 0.000
6.817 3.882 0.000
-0.440 0.000 8.945
Li Cr H O
4 4 8 18
Direct
0.058 0.942 0.500
0.079 0.255 0.251
0.255 0.079 0.751
0.942 0.058 0.000
0.319 0.647 0.100
0.432 0.934 0.284
0.647 0.319 0.600
0.934 0.432 0.784
0.065 0.610 0.527
0.225 0.804 0.776
0.342 0.710 0.628
0.610 0.065 0.027
0.710 0.342 0.128
0.777 0.857 0.955
0.804 0.225 0.276
0.857 0.777 0.455
0.023 0.233 0.889
0.094 0.363 0.649
0.158 0.651 0.209
0.202 0.818 0.971
0.233 0.023 0.389
0.256 0.839 0.679
0.363 0.094 0.149
0.427 0.460 0.527
0.460 0.427 0.027
0.488 0.700 0.209
0.623 0.911 0.377
0.651 0.158 0.709
0.700 0.488 0.709
0.750 0.984 0.004
0.818 0.202 0.471
0.839 0.256 0.179
0.911 0.623 0.877
0.984 0.750 0.504